Run P
Compound: NaLaZr2O6
Source: the Materials Project database
Functional: PBE
Structure: optimized geometry

Lattice parameters (Å, degrees): 5.8102 5.8102 5.8102 119.19 90.55 120.18
Fractional coordinates of all 10 atoms:
Na (0.0000, 0.0000, 0.0000)
La (0.4681, 0.9681, 0.5000)
Zr (0.2410, 0.4882, 0.7527)
Zr (0.7355, 0.4882, 0.2473)
O (0.0586, 0.5120, 0.0675)
O (0.0586, 0.9912, 0.5467)
O (0.4445, 0.5120, 0.4533)
O (0.4445, 0.9912, 0.9325)
O (0.5856, 0.5856, 0.0000)
O (0.8770, 0.3770, 0.5000)

total magnetic moment: 0.00 Bohr magnetons per cell


Run Q
Compound: NaLaZr2O6
Source: the Materials Project database
Functional: PBE
Structure: optimized geometry

Lattice parameters (Å, degrees): 5.8897 5.8897 5.8897 60.00 60.00 60.00
Fractional coordinates of all 10 atoms:
Na (0.0000, 0.0000, 0.0000)
La (0.5000, 0.5000, 0.5000)
Zr (0.2500, 0.2500, 0.2500)
Zr (0.7500, 0.7500, 0.7500)
O (0.0000, 0.0000, 0.5000)
O (0.0000, 0.5000, 0.0000)
O (0.0000, 0.5000, 0.5000)
O (0.5000, 0.0000, 0.0000)
O (0.5000, 0.0000, 0.5000)
O (0.5000, 0.5000, 0.0000)

total magnetic moment: 0.00 Bohr magnetons per cell


Computed energies relative to the best structure, in kJ/mol of atoms: run P 0.0; run Q 13.1


Run P
Compound: La2Pt2O7
Source: the Materials Project database
Functional: PBE
Structure: optimized geometry

Lattice parameters (Å, degrees): 7.5146 7.5146 7.5146 60.00 60.00 60.00
Fractional coordinates of all 22 atoms:
La (0.0000, 0.0000, 0.0000)
La (0.0000, 0.0000, 0.5000)
La (0.0000, 0.5000, 0.0000)
La (0.5000, 0.0000, 0.0000)
Pt (0.0000, 0.5000, 0.5000)
Pt (0.5000, 0.0000, 0.5000)
Pt (0.5000, 0.5000, 0.0000)
Pt (0.5000, 0.5000, 0.5000)
O (0.1250, 0.1250, 0.1250)
O (0.1668, 0.1668, 0.5832)
O (0.1668, 0.5832, 0.1668)
O (0.1668, 0.5832, 0.5832)
O (0.4168, 0.4168, 0.8332)
O (0.4168, 0.8332, 0.4168)
O (0.4168, 0.8332, 0.8332)
O (0.5832, 0.1668, 0.1668)
O (0.5832, 0.1668, 0.5832)
O (0.5832, 0.5832, 0.1668)
O (0.8332, 0.4168, 0.4168)
O (0.8332, 0.4168, 0.8332)
O (0.8332, 0.8332, 0.4168)
O (0.8750, 0.8750, 0.8750)


Run Q
Compound: La2Pt2O7
Source: the Materials Project database
Functional: PBE
Structure: optimized geometry

Lattice parameters (Å, degrees): 7.9667 5.6580 13.5060 90.00 98.41 90.00
Fractional coordinates of all 44 atoms:
La (0.1457, 0.0000, 0.0731)
La (0.2266, 0.4304, 0.4056)
La (0.2828, 0.9163, 0.6293)
La (0.3544, 0.4593, 0.8961)
La (0.6456, 0.9593, 0.1039)
La (0.7172, 0.4163, 0.3707)
La (0.7734, 0.9304, 0.5944)
La (0.8543, 0.5000, 0.9269)
Pt (0.0284, 0.4331, 0.6104)
Pt (0.0756, 0.9421, 0.8127)
Pt (0.4184, 0.4439, 0.1853)
Pt (0.4735, 0.9318, 0.3885)
Pt (0.5265, 0.4318, 0.6115)
Pt (0.5816, 0.9439, 0.8147)
Pt (0.9244, 0.4421, 0.1873)
Pt (0.9716, 0.9331, 0.3896)
O (0.0182, 0.1181, 0.6799)
O (0.0526, 0.7327, 0.5213)
O (0.0792, 0.2170, 0.9078)
O (0.1240, 0.7306, 0.9316)
O (0.1265, 0.6354, 0.7327)
O (0.1768, 0.3340, 0.2061)
O (0.2269, 0.0128, 0.4067)
O (0.2716, 0.3451, 0.5876)
O (0.3272, 0.0555, 0.8086)
O (0.3742, 0.7315, 0.1025)
O (0.4045, 0.2456, 0.0598)
O (0.4296, 0.6138, 0.3199)
O (0.4612, 0.7333, 0.5223)
O (0.4888, 0.6342, 0.7348)
O (0.5112, 0.1342, 0.2652)
O (0.5388, 0.2333, 0.4777)
O (0.5704, 0.1138, 0.6801)
O (0.5955, 0.7456, 0.9402)
O (0.6258, 0.2315, 0.8975)
O (0.6728, 0.5555, 0.1914)
O (0.7284, 0.8451, 0.4124)
O (0.7731, 0.5128, 0.5933)
O (0.8232, 0.8340, 0.7939)
O (0.8735, 0.1354, 0.2673)
O (0.8760, 0.2306, 0.0684)
O (0.9208, 0.7170, 0.0922)
O (0.9474, 0.2327, 0.4787)
O (0.9818, 0.6181, 0.3201)

total magnetic moment: 0.00 Bohr magnetons per cell


Computed energies relative to the best structure, in kJ/mol of atoms: run P 0.0; run Q 8.6


Run P
Compound: La6Ti3Se9O5
Source: the Materials Project database
Functional: PBE
Structure: optimized geometry

Lattice parameters (Å, degrees): 3.9283 11.2571 22.5091 83.03 85.01 89.99
Fractional coordinates of all 46 atoms:
La (0.0000, 0.0000, 0.0000)
La (0.0046, 0.4546, 0.0013)
La (0.1094, 0.4494, 0.8017)
La (0.1733, 0.2096, 0.6582)
La (0.2574, 0.7154, 0.4966)
La (0.3257, 0.4738, 0.3540)
La (0.4210, 0.9223, 0.1562)
La (0.4316, 0.4670, 0.1552)
La (0.5817, 0.8107, 0.8531)
La (0.6786, 0.7169, 0.6516)
La (0.7473, 0.2071, 0.5036)
La (0.8479, 0.1126, 0.3029)
Ti (0.2086, 0.9619, 0.5776)
Ti (0.4859, 0.7194, 0.0391)
Ti (0.5718, 0.1180, 0.8612)
Ti (0.7208, 0.4619, 0.5773)
Ti (0.8566, 0.8056, 0.2942)
Ti (0.9450, 0.2016, 0.1175)
Se (0.0269, 0.7436, 0.9572)
Se (0.0536, 0.2363, 0.9051)
Se (0.1094, 0.0149, 0.8023)
Se (0.1234, 0.7161, 0.7629)
Se (0.1799, 0.4913, 0.6582)
Se (0.2567, 0.4324, 0.4968)
Se (0.2991, 0.2079, 0.3926)
Se (0.3302, 0.9087, 0.3529)
Se (0.3792, 0.6864, 0.2509)
Se (0.4026, 0.1792, 0.1989)
Se (0.4840, 0.2253, 0.0337)
Se (0.5631, 0.5226, 0.8905)
Se (0.6299, 0.2764, 0.7595)
Se (0.6700, 0.9873, 0.6589)
Se (0.7510, 0.9374, 0.4954)
Se (0.8026, 0.6466, 0.3962)
Se (0.8744, 0.3989, 0.2658)
Se (0.9428, 0.6952, 0.1226)
O (0.2032, 0.7912, 0.6003)
O (0.2223, 0.1337, 0.5548)
O (0.4789, 0.8904, 0.0462)
O (0.4825, 0.5414, 0.0423)
O (0.5495, 0.9924, 0.9203)
O (0.7019, 0.2905, 0.6037)
O (0.7328, 0.6345, 0.5509)
O (0.8868, 0.9298, 0.2351)
O (0.9442, 0.0304, 0.1097)
O (0.9490, 0.3789, 0.1146)

total magnetic moment: 3.73 Bohr magnetons per cell


Run Q
Compound: La6Ti3Se9O5
Source: the Materials Project database
Functional: PBE
Structure: optimized geometry

Lattice parameters (Å, degrees): 22.5095 22.5095 11.2571 96.97 96.97 10.01
Fractional coordinates of all 46 atoms:
La (0.0000, 0.0000, 0.0000)
La (0.9995, 0.9995, 0.4552)
La (0.0989, 0.0989, 0.4484)
La (0.1728, 0.1728, 0.2110)
La (0.2536, 0.2536, 0.7167)
La (0.3249, 0.3249, 0.4752)
La (0.4243, 0.4243, 0.4684)
La (0.4238, 0.4238, 0.9236)
La (0.5733, 0.5733, 0.8097)
La (0.6761, 0.6761, 0.7182)
La (0.7501, 0.7501, 0.2084)
La (0.8504, 0.8504, 0.1140)
Ti (0.2131, 0.2131, 0.9632)
Ti (0.4806, 0.4806, 0.7207)
Ti (0.5713, 0.5713, 0.1193)
Ti (0.7132, 0.7132, 0.4633)
Ti (0.8548, 0.8548, 0.8069)
Ti (0.9431, 0.9431, 0.2029)
Se (0.0233, 0.0233, 0.7449)
Se (0.0494, 0.0494, 0.2376)
Se (0.1007, 0.1007, 0.0162)
Se (0.1204, 0.1204, 0.7175)
Se (0.1728, 0.1728, 0.4926)
Se (0.2535, 0.2535, 0.4337)
Se (0.3056, 0.3056, 0.2092)
Se (0.3254, 0.3254, 0.9101)
Se (0.3744, 0.3744, 0.6860)
Se (0.4005, 0.4005, 0.1787)
Se (0.4832, 0.4832, 0.2271)
Se (0.5566, 0.5566, 0.5239)
Se (0.6221, 0.6221, 0.2777)
Se (0.6724, 0.6724, 0.9887)
Se (0.7542, 0.7542, 0.9387)
Se (0.8016, 0.8016, 0.6459)
Se (0.8672, 0.8672, 0.3997)
Se (0.9406, 0.9406, 0.6965)
O (0.2017, 0.2017, 0.7925)
O (0.2245, 0.2245, 0.1350)
O (0.4767, 0.4767, 0.8919)
O (0.4792, 0.4792, 0.5434)
O (0.5417, 0.5417, 0.9937)
O (0.7000, 0.7000, 0.2918)
O (0.7264, 0.7264, 0.6358)
O (0.8843, 0.8843, 0.9311)
O (0.9446, 0.9446, 0.3802)
O (0.9471, 0.9471, 0.0317)

total magnetic moment: 0.10 Bohr magnetons per cell


Computed energies relative to the best structure, in kJ/mol of atoms: run P 0.0; run Q 2.4


Run P
Compound: La2SiO5
Source: the Materials Project database
Functional: PBE
Structure: optimized geometry

Lattice parameters (Å, degrees): 8.3006 8.3006 11.7938 95.87 95.87 91.14
Fractional coordinates of all 48 atoms:
La (0.1146, 0.8369, 0.5703)
La (0.1397, 0.4796, 0.7449)
La (0.1631, 0.8854, 0.9297)
La (0.2140, 0.5018, 0.0686)
La (0.4796, 0.1397, 0.2449)
La (0.4982, 0.7860, 0.4314)
La (0.5018, 0.2140, 0.5686)
La (0.5204, 0.8603, 0.7551)
La (0.7860, 0.4982, 0.9314)
La (0.8369, 0.1146, 0.0703)
La (0.8603, 0.5204, 0.2551)
La (0.8854, 0.1631, 0.4297)
Si (0.1323, 0.8677, 0.2500)
Si (0.2313, 0.4279, 0.4485)
Si (0.4279, 0.2313, 0.9485)
Si (0.5721, 0.7687, 0.0515)
Si (0.7687, 0.5721, 0.5515)
Si (0.8677, 0.1323, 0.7500)
O (0.0421, 0.9325, 0.3654)
O (0.0502, 0.3828, 0.3816)
O (0.0516, 0.6155, 0.9232)
O (0.0675, 0.9579, 0.1346)
O (0.0988, 0.6698, 0.2181)
O (0.2427, 0.7573, 0.7500)
O (0.2446, 0.3512, 0.5748)
O (0.2642, 0.6255, 0.4691)
O (0.3302, 0.9012, 0.2819)
O (0.3353, 0.3752, 0.8821)
O (0.3512, 0.2446, 0.0748)
O (0.3752, 0.3353, 0.3821)
O (0.3745, 0.7358, 0.0309)
O (0.3828, 0.0502, 0.8816)
O (0.3845, 0.9484, 0.5768)
O (0.6155, 0.0516, 0.4232)
O (0.6172, 0.9498, 0.1184)
O (0.6255, 0.2642, 0.9691)
O (0.6248, 0.6647, 0.6179)
O (0.6488, 0.7554, 0.9252)
O (0.6647, 0.6248, 0.1179)
O (0.6698, 0.0988, 0.7181)
O (0.7358, 0.3745, 0.5309)
O (0.7554, 0.6488, 0.4252)
O (0.7573, 0.2427, 0.2500)
O (0.9012, 0.3302, 0.7819)
O (0.9325, 0.0421, 0.8654)
O (0.9484, 0.3845, 0.0768)
O (0.9498, 0.6172, 0.6184)
O (0.9579, 0.0675, 0.6346)

total magnetic moment: 0.00 Bohr magnetons per cell


Run Q
Compound: La2SiO5
Source: the Materials Project database
Functional: PBE
Structure: optimized geometry

Lattice parameters (Å, degrees): 9.3562 7.7262 7.0145 90.00 109.04 90.00
Fractional coordinates of all 32 atoms:
La (0.0093, 0.1264, 0.2310)
La (0.0093, 0.3736, 0.7310)
La (0.3890, 0.1598, 0.0952)
La (0.3890, 0.3402, 0.5952)
La (0.6110, 0.6598, 0.4048)
La (0.6110, 0.8402, 0.9048)
La (0.9907, 0.6264, 0.2690)
La (0.9907, 0.8736, 0.7690)
Si (0.2996, 0.5721, 0.0428)
Si (0.2996, 0.9279, 0.5428)
Si (0.7004, 0.0721, 0.4572)
Si (0.7004, 0.4279, 0.9572)
O (0.1101, 0.1261, 0.9508)
O (0.1101, 0.3739, 0.4508)
O (0.1216, 0.6314, 0.9963)
O (0.1216, 0.8686, 0.4963)
O (0.2880, 0.0773, 0.3672)
O (0.2880, 0.4227, 0.8672)
O (0.3688, 0.0378, 0.7561)
O (0.3688, 0.4622, 0.2561)
O (0.4126, 0.7327, 0.0501)
O (0.4126, 0.7673, 0.5501)
O (0.5874, 0.2327, 0.4499)
O (0.5874, 0.2673, 0.9499)
O (0.6312, 0.5378, 0.7439)
O (0.6312, 0.9622, 0.2439)
O (0.7120, 0.5773, 0.1328)
O (0.7120, 0.9227, 0.6328)
O (0.8784, 0.1314, 0.5037)
O (0.8784, 0.3686, 0.0037)
O (0.8899, 0.6261, 0.5492)
O (0.8899, 0.8739, 0.0492)


Computed energies relative to the best structure, in kJ/mol of atoms: run P 4.8; run Q 0.0


Run P
Compound: Sr3La4O9
Source: the Materials Project database
Functional: PBE
Structure: optimized geometry

Lattice parameters (Å, degrees): 6.9762 6.9762 13.5356 111.42 111.42 63.54
Fractional coordinates of all 32 atoms:
Sr (0.0627, 0.9373, 0.5000)
Sr (0.2615, 0.9346, 0.7752)
Sr (0.5970, 0.7710, 0.4445)
Sr (0.7710, 0.5970, 0.9445)
Sr (0.9346, 0.2615, 0.2752)
Sr (0.9373, 0.0627, 0.0000)
La (0.0453, 0.6750, 0.2251)
La (0.1864, 0.4245, 0.5646)
La (0.2460, 0.5076, 0.8603)
La (0.4245, 0.1864, 0.0646)
La (0.4627, 0.7386, 0.1564)
La (0.5076, 0.2460, 0.3603)
La (0.6750, 0.0453, 0.7251)
La (0.7386, 0.4627, 0.6564)
O (0.1359, 0.2600, 0.6798)
O (0.1575, 0.5095, 0.3949)
O (0.1816, 0.5668, 0.0429)
O (0.1988, 0.9378, 0.3513)
O (0.2600, 0.1359, 0.1798)
O (0.3639, 0.8245, 0.9702)
O (0.4627, 0.4995, 0.7495)
O (0.4761, 0.7932, 0.6078)
O (0.4995, 0.4627, 0.2495)
O (0.5095, 0.1575, 0.8949)
O (0.5668, 0.1816, 0.5429)
O (0.7260, 0.8621, 0.3183)
O (0.7932, 0.4761, 0.1078)
O (0.7977, 0.9647, 0.1210)
O (0.8245, 0.3639, 0.4702)
O (0.8621, 0.7260, 0.8183)
O (0.9378, 0.1988, 0.8513)
O (0.9647, 0.7977, 0.6210)

total magnetic moment: 0.00 Bohr magnetons per cell


Run Q
Compound: Sr3La4O9
Source: the Materials Project database
Functional: PBE
Structure: optimized geometry

Lattice parameters (Å, degrees): 9.6686 9.6686 9.6686 37.57 37.57 37.57
Fractional coordinates of all 16 atoms:
Sr (0.0000, 0.0000, 0.0000)
Sr (0.1785, 0.1785, 0.1785)
Sr (0.6080, 0.6080, 0.6080)
La (0.3070, 0.3070, 0.3070)
La (0.4384, 0.4384, 0.4384)
La (0.7425, 0.7425, 0.7425)
La (0.8709, 0.8709, 0.8709)
O (0.0329, 0.6438, 0.4094)
O (0.1229, 0.7841, 0.5206)
O (0.2035, 0.5944, 0.9700)
O (0.4094, 0.0329, 0.6438)
O (0.5206, 0.1229, 0.7841)
O (0.5944, 0.9700, 0.2035)
O (0.6438, 0.4094, 0.0329)
O (0.7841, 0.5206, 0.1229)
O (0.9700, 0.2035, 0.5944)

total magnetic moment: 0.00 Bohr magnetons per cell


Computed energies relative to the best structure, in kJ/mol of atoms: run P 0.0; run Q 3.9


Run P
Compound: La2TeO6
Source: the Materials Project database
Functional: PBE
Structure: optimized geometry

Lattice parameters (Å, degrees): 5.5551 9.5475 10.4841 90.00 90.00 90.00
Fractional coordinates of all 36 atoms:
La (0.0244, 0.1043, 0.4557)
La (0.0296, 0.2174, 0.8590)
La (0.4704, 0.7826, 0.3590)
La (0.4756, 0.8957, 0.9557)
La (0.5244, 0.3957, 0.5443)
La (0.5296, 0.2826, 0.1410)
La (0.9704, 0.7174, 0.6410)
La (0.9756, 0.6043, 0.0443)
Te (0.0394, 0.4960, 0.3592)
Te (0.4606, 0.5040, 0.8592)
Te (0.5394, 0.0040, 0.6408)
Te (0.9606, 0.9960, 0.1408)
O (0.0737, 0.8514, 0.0232)
O (0.1686, 0.9477, 0.2823)
O (0.1779, 0.6353, 0.2467)
O (0.1993, 0.6374, 0.8248)
O (0.2191, 0.1122, 0.0642)
O (0.2449, 0.5841, 0.4919)
O (0.2551, 0.4159, 0.9919)
O (0.2809, 0.8878, 0.5642)
O (0.3007, 0.3626, 0.3248)
O (0.3221, 0.3647, 0.7467)
O (0.3314, 0.0523, 0.7823)
O (0.4263, 0.1486, 0.5232)
O (0.5737, 0.6486, 0.9768)
O (0.6686, 0.5523, 0.7177)
O (0.6779, 0.8647, 0.7533)
O (0.6993, 0.8626, 0.1752)
O (0.7191, 0.3878, 0.9358)
O (0.7449, 0.9159, 0.5081)
O (0.7551, 0.0841, 0.0081)
O (0.7809, 0.6122, 0.4358)
O (0.8007, 0.1374, 0.6752)
O (0.8221, 0.1353, 0.2533)
O (0.8314, 0.4477, 0.2177)
O (0.9263, 0.3514, 0.4768)

largest piezoelectric modulus: 0.3 C/m2


Run Q
Compound: La2TeO6
Source: the Materials Project database
Functional: PBE
Structure: optimized geometry

Lattice parameters (Å, degrees): 5.6544 5.6544 5.6544 63.02 63.02 63.02
Fractional coordinates of all 9 atoms:
La (0.2484, 0.2484, 0.2484)
La (0.7516, 0.7516, 0.7516)
Te (0.0000, 0.0000, 0.0000)
O (0.1273, 0.3268, 0.7925)
O (0.2075, 0.8727, 0.6732)
O (0.3268, 0.7925, 0.1273)
O (0.6732, 0.2075, 0.8727)
O (0.7925, 0.1273, 0.3268)
O (0.8727, 0.6732, 0.2075)

total magnetic moment: 0.00 Bohr magnetons per cell


Computed energies relative to the best structure, in kJ/mol of atoms: run P 0.0; run Q 9.7